[1]
{
  "formula": "CeGa3Ag",
  "functional": "PBE",
  "state": "optimized geometry",
  "magmom_total_mub_per_cell": 0.722,
  "formation_energy_ev_per_atom": -0.422,
  "space_group": "No. 119",
  "cell": [[4.346, 0.000, 0.000], [0.000, 4.346, 0.000], [2.173, 2.173, 5.412]],
  "species": ["Ce", "Ga", "Ga", "Ga", "Ag"],
  "frac_coords": [[0.000, 0.000, 0.000], [0.387, 0.387, 0.227], [0.613, 0.613, 0.773], [0.250, 0.750, 0.500], [0.750, 0.250, 0.500]]
}

---

[2]
{
  "formula": "SiO2",
  "functional": "PBE",
  "state": "optimized geometry",
  "formation_energy_ev_per_atom": -3.184,
  "piezo_max_c_m2": 0.1,
  "space_group": "No. 1",
  "cell": [[-1.406, 4.411, 2.326], [-3.911, 1.168, -3.425], [-6.093, -1.456, 3.158]],
  "species": ["Si", "Si", "Si", "Si", "O", "O", "O", "O", "O", "O", "O", "O"],
  "frac_coords": [[0.392, 0.723, 0.592], [0.431, 0.629, 0.052], [0.188, 0.283, 0.439], [0.860, 0.688, 0.248], [0.450, 0.629, 0.819], [0.186, 0.977, 0.574], [0.263, 0.473, 0.562], [0.711, 0.735, 0.061], [0.671, 0.822, 0.418], [0.165, 0.802, 0.137], [0.898, 0.379, 0.384], [0.401, 0.330, 0.212]]
}

---

[3]
{
  "formula": "K3Mn",
  "functional": "PBE",
  "state": "optimized geometry",
  "magmom_total_mub_per_cell": 4.575,
  "formation_energy_ev_per_atom": 0.660,
  "space_group": "No. 221",
  "cell": [[-2.938, -0.884, -4.846], [-1.331, -5.290, 1.772], [-4.742, 2.033, 2.505]],
  "species": ["K", "K", "K", "Mn"],
  "frac_coords": [[0.000, 0.500, 0.500], [0.500, 0.000, 0.500], [0.500, 0.500, 0.000], [0.000, 0.000, 0.000]]
}

---

[4]
{
  "formula": "TiNb4S8",
  "functional": "PBE",
  "state": "optimized geometry",
  "formation_energy_ev_per_atom": -1.527,
  "space_group": "No. 194",
  "cell": [[3.351, -5.803, 0.000], [3.351, 5.803, 0.000], [0.000, 0.000, 12.393]],
  "species": ["Ti", "Ti", "Nb", "Nb", "Nb", "Nb", "Nb", "Nb", "Nb", "Nb", "S", "S", "S", "S", "S", "S", "S", "S", "S", "S", "S", "S", "S", "S", "S", "S"],
  "frac_coords": [[0.000, 0.000, 0.500], [0.000, 0.000, 0.000], [0.000, 0.000, 0.250], [0.000, 0.000, 0.750], [0.505, 0.495, 0.250], [0.505, 0.010, 0.250], [0.990, 0.495, 0.250], [0.495, 0.505, 0.750], [0.495, 0.990, 0.750], [0.010, 0.505, 0.750], [0.333, 0.667, 0.879], [0.667, 0.333, 0.121], [0.667, 0.333, 0.379], [0.333, 0.667, 0.621], [0.167, 0.833, 0.378], [0.167, 0.334, 0.378], [0.666, 0.833, 0.378], [0.833, 0.167, 0.622], [0.833, 0.666, 0.622], [0.334, 0.167, 0.622], [0.833, 0.167, 0.878], [0.833, 0.666, 0.878], [0.334, 0.167, 0.878], [0.167, 0.833, 0.122], [0.167, 0.334, 0.122], [0.666, 0.833, 0.122]]
}

---

[5]
{
  "formula": "TiCrB4",
  "functional": "PBE",
  "state": "optimized geometry",
  "magmom_total_mub_per_cell": 0.011,
  "formation_energy_ev_per_atom": -0.684,
  "space_group": "No. 191",
  "cell": [[1.508, -2.612, 0.000], [1.508, 2.612, 0.000], [0.000, 0.000, 6.132]],
  "species": ["Ti", "Cr", "B", "B", "B", "B"],
  "frac_coords": [[0.000, 0.000, 0.500], [0.000, 0.000, 0.000], [0.667, 0.333, 0.760], [0.667, 0.333, 0.240], [0.333, 0.667, 0.760], [0.333, 0.667, 0.240]]
}

---

[6]
{
  "formula": "Na4La3TaSi3S3O24",
  "functional": "PBE",
  "state": "optimized geometry",
  "magmom_total_mub_per_cell": 0.000,
  "formation_energy_ev_per_atom": -2.817,
  "space_group": "No. 1",
  "cell": [[-7.566, -5.346, 1.929], [5.169, -1.749, -7.731], [14.009, -15.208, 12.814]],
  "species": ["Na", "Na", "Na", "Na", "Na", "Na", "Na", "Na", "Na", "Na", "Na", "Na", "La", "La", "La", "La", "La", "La", "La", "La", "La", "Ta", "Ta", "Ta", "Si", "Si", "Si", "Si", "Si", "Si", "Si", "Si", "Si", "S", "S", "S", "S", "S", "S", "S", "S", "S", "O", "O", "O", "O", "O", "O", "O", "O", "O", "O", "O", "O", "O", "O", "O", "O", "O", "O", "O", "O", "O", "O", "O", "O", "O", "O", "O", "O", "O", "O", "O", "O", "O", "O", "O", "O", "O", "O", "O", "O", "O", "O", "O", "O", "O", "O", "O", "O", "O", "O", "O", "O", "O", "O", "O", "O", "O", "O", "O", "O", "O", "O", "O", "O", "O", "O", "O", "O", "O", "O", "O", "O"],
  "frac_coords": [[0.646, 0.004, 0.254], [0.356, 0.351, 0.253], [0.998, 0.644, 0.255], [0.313, 0.349, 0.585], [0.657, 0.961, 0.584], [0.292, 0.955, 0.082], [0.999, 0.990, 0.505], [0.983, 0.999, 0.990], [0.665, 0.332, 0.829], [0.667, 0.334, 0.328], [0.333, 0.654, 0.184], [0.315, 0.665, 0.663], [0.002, 0.002, 0.348], [0.003, 0.002, 0.854], [0.002, 0.986, 0.644], [0.991, 0.001, 0.151], [0.673, 0.340, 0.684], [0.674, 0.340, 0.184], [0.335, 0.659, 0.011], [0.320, 0.665, 0.517], [0.333, 0.669, 0.323], [0.669, 0.335, 0.969], [0.673, 0.338, 0.490], [0.335, 0.667, 0.829], [0.302, 0.996, 0.245], [0.693, 0.698, 0.251], [0.005, 0.307, 0.251], [0.957, 0.323, 0.582], [0.381, 0.051, 0.582], [0.667, 0.627, 0.580], [0.625, 0.654, 0.917], [0.030, 0.377, 0.917], [0.346, 0.968, 0.922], [0.305, 0.331, 0.754], [0.026, 0.695, 0.757], [0.670, 0.975, 0.754], [0.953, 0.627, 0.074], [0.669, 0.055, 0.074], [0.381, 0.322, 0.075], [0.646, 0.000, 0.422], [0.356, 0.355, 0.422], [0.996, 0.646, 0.419], [0.208, 0.027, 0.295], [0.812, 0.783, 0.304], [0.969, 0.188, 0.303], [0.211, 0.218, 0.798], [0.008, 0.785, 0.802], [0.783, 0.992, 0.799], [0.732, 0.953, 0.700], [0.223, 0.266, 0.700], [0.045, 0.782, 0.703], [0.774, 0.812, 0.196], [0.036, 0.225, 0.196], [0.201, 0.969, 0.186], [0.878, 0.347, 0.637], [0.482, 0.128, 0.637], [0.637, 0.520, 0.635], [0.879, 0.553, 0.128], [0.669, 0.129, 0.128], [0.456, 0.325, 0.129], [0.494, 0.331, 0.030], [0.849, 0.517, 0.029], [0.670, 0.163, 0.029], [0.495, 0.171, 0.528], [0.679, 0.515, 0.527], [0.841, 0.328, 0.528], [0.554, 0.681, 0.973], [0.126, 0.449, 0.973], [0.323, 0.880, 0.979], [0.554, 0.894, 0.469], [0.341, 0.446, 0.469], [0.106, 0.660, 0.464], [0.063, 0.627, 0.366], [0.556, 0.929, 0.370], [0.372, 0.444, 0.370], [0.143, 0.509, 0.866], [0.366, 0.852, 0.870], [0.490, 0.631, 0.866], [0.974, 0.789, 0.420], [0.811, 0.021, 0.421], [0.212, 0.189, 0.421], [0.985, 0.194, 0.905], [0.208, 0.011, 0.906], [0.806, 0.793, 0.904], [0.945, 0.144, 0.581], [0.210, 0.058, 0.580], [0.831, 0.807, 0.580], [0.965, 0.790, 0.069], [0.814, 0.036, 0.069], [0.226, 0.164, 0.070], [0.646, 0.119, 0.754], [0.473, 0.355, 0.754], [0.884, 0.527, 0.755], [0.666, 0.513, 0.247], [0.848, 0.335, 0.247], [0.488, 0.153, 0.244], [0.626, 0.476, 0.926], [0.850, 0.375, 0.926], [0.525, 0.150, 0.927], [0.658, 0.164, 0.429], [0.508, 0.344, 0.428], [0.834, 0.492, 0.427], [0.354, 0.462, 0.074], [0.120, 0.650, 0.075], [0.515, 0.896, 0.074], [0.366, 0.873, 0.574], [0.508, 0.648, 0.571], [0.147, 0.466, 0.576], [0.318, 0.832, 0.256], [0.511, 0.678, 0.258], [0.167, 0.488, 0.258], [0.315, 0.494, 0.764], [0.180, 0.686, 0.765], [0.506, 0.823, 0.765]]
}

---

[7]
{
  "formula": "ZrSi2Ni2",
  "functional": "PBE",
  "state": "optimized geometry",
  "formation_energy_ev_per_atom": -0.822,
  "space_group": "No. 139",
  "cell": [[-1.879, 1.879, 4.885], [1.879, -1.879, 4.885], [1.879, 1.879, -4.885]],
  "species": ["Zr", "Si", "Si", "Ni", "Ni"],
  "frac_coords": [[0.000, 0.000, 0.000], [0.619, 0.619, 0.000], [0.381, 0.381, 0.000], [0.750, 0.250, 0.500], [0.250, 0.750, 0.500]]
}

---

[8]
{
  "formula": "Sr3Sb2",
  "functional": "PBE",
  "state": "optimized geometry",
  "magmom_total_mub_per_cell": 0.000,
  "formation_energy_ev_per_atom": -0.691,
  "space_group": "No. 221",
  "cell": [[-0.422, 1.192, -5.998], [-5.304, -3.064, -0.236], [-3.044, 5.174, 1.242]],
  "species": ["Sr", "Sr", "Sr", "Sb", "Sb"],
  "frac_coords": [[0.000, 0.500, 0.500], [0.500, 0.000, 0.500], [0.500, 0.500, 0.000], [0.000, 0.000, 0.000], [0.500, 0.500, 0.500]]
}

---

[9]
{
  "formula": "Na3HfNbSi3O12",
  "functional": "PBE",
  "state": "optimized geometry",
  "magmom_total_mub_per_cell": 0.000,
  "formation_energy_ev_per_atom": -3.107,
  "cell": [[13.127, 0.000, -8.802], [0.000, 9.137, 0.000], [-0.172, 0.000, 9.111]],
  "species": ["Na", "Na", "Na", "Na", "Na", "Na", "Na", "Na", "Na", "Na", "Na", "Na", "Hf", "Hf", "Hf", "Hf", "Nb", "Nb", "Nb", "Nb", "Si", "Si", "Si", "Si", "Si", "Si", "Si", "Si", "Si", "Si", "Si", "Si", "O", "O", "O", "O", "O", "O", "O", "O", "O", "O", "O", "O", "O", "O", "O", "O", "O", "O", "O", "O", "O", "O", "O", "O", "O", "O", "O", "O", "O", "O", "O", "O", "O", "O", "O", "O", "O", "O", "O", "O", "O", "O", "O", "O", "O", "O", "O", "O"],
  "frac_coords": [[0.254, 0.727, 0.998], [0.754, 0.773, 0.498], [0.754, 0.227, 0.998], [0.254, 0.273, 0.498], [0.499, 0.113, 0.746], [0.499, 0.887, 0.246], [0.999, 0.613, 0.746], [0.999, 0.387, 0.246], [0.192, 0.945, 0.294], [0.192, 0.055, 0.794], [0.692, 0.445, 0.294], [0.692, 0.555, 0.794], [0.106, 0.749, 0.568], [0.106, 0.251, 0.068], [0.606, 0.249, 0.568], [0.606, 0.751, 0.068], [0.893, 0.754, 0.933], [0.893, 0.246, 0.433], [0.393, 0.254, 0.933], [0.393, 0.746, 0.433], [0.997, 0.959, 0.755], [0.997, 0.041, 0.255], [0.497, 0.459, 0.755], [0.497, 0.541, 0.255], [0.355, 0.896, 0.757], [0.645, 0.892, 0.744], [0.645, 0.108, 0.244], [0.355, 0.104, 0.257], [0.855, 0.396, 0.757], [0.145, 0.392, 0.744], [0.145, 0.608, 0.244], [0.855, 0.604, 0.257], [0.153, 0.569, 0.744], [0.849, 0.577, 0.758], [0.849, 0.423, 0.258], [0.153, 0.431, 0.244], [0.653, 0.069, 0.744], [0.349, 0.077, 0.758], [0.349, 0.923, 0.258], [0.653, 0.931, 0.244], [0.434, 0.574, 0.581], [0.567, 0.557, 0.933], [0.567, 0.443, 0.433], [0.434, 0.426, 0.081], [0.934, 0.074, 0.581], [0.067, 0.057, 0.933], [0.067, 0.943, 0.433], [0.934, 0.926, 0.081], [0.255, 0.835, 0.750], [0.740, 0.806, 0.756], [0.740, 0.194, 0.256], [0.255, 0.165, 0.250], [0.755, 0.335, 0.750], [0.240, 0.306, 0.756], [0.240, 0.694, 0.256], [0.755, 0.665, 0.250], [0.355, 0.857, 0.577], [0.643, 0.843, 0.913], [0.643, 0.157, 0.413], [0.355, 0.143, 0.077], [0.855, 0.357, 0.577], [0.143, 0.343, 0.913], [0.143, 0.657, 0.413], [0.855, 0.643, 0.077], [0.461, 0.838, 0.937], [0.535, 0.831, 0.561], [0.535, 0.169, 0.061], [0.461, 0.162, 0.437], [0.961, 0.338, 0.937], [0.035, 0.331, 0.561], [0.035, 0.669, 0.061], [0.961, 0.662, 0.437], [0.075, 0.853, 0.741], [0.913, 0.854, 0.755], [0.913, 0.146, 0.255], [0.075, 0.147, 0.241], [0.575, 0.353, 0.741], [0.413, 0.354, 0.755], [0.413, 0.646, 0.255], [0.575, 0.647, 0.241]]
}

---

[10]
{
  "formula": "La6MnSb15",
  "functional": "PBE",
  "state": "optimized geometry",
  "magmom_total_mub_per_cell": 3.276,
  "formation_energy_ev_per_atom": -0.845,
  "space_group": "No. 8",
  "cell": [[-11.914, -4.157, 2.386], [7.019, -10.600, 1.816], [0.107, -0.067, 4.325]],
  "species": ["La", "La", "La", "La", "La", "La", "Mn", "Sb", "Sb", "Sb", "Sb", "Sb", "Sb", "Sb", "Sb", "Sb", "Sb", "Sb", "Sb", "Sb", "Sb", "Sb"],
  "frac_coords": [[0.004, 0.270, 0.949], [0.996, 0.726, 0.220], [0.726, 0.996, 0.220], [0.270, 0.004, 0.949], [0.680, 0.323, 0.085], [0.323, 0.680, 0.085], [0.284, 0.284, 0.804], [0.397, 0.397, 0.193], [0.590, 0.590, 0.997], [0.912, 0.513, 0.874], [0.076, 0.486, 0.307], [0.486, 0.076, 0.307], [0.513, 0.912, 0.874], [0.238, 0.476, 0.729], [0.750, 0.543, 0.445], [0.543, 0.750, 0.445], [0.476, 0.238, 0.729], [0.170, 0.170, 0.415], [0.856, 0.856, 0.719], [0.801, 0.198, 0.585], [0.198, 0.801, 0.585], [0.991, 0.991, 0.084]]
}

---

[11]
{
  "formula": "Er2MgCuGe4O12",
  "functional": "PBE",
  "state": "optimized geometry",
  "magmom_total_mub_per_cell": 0.000,
  "formation_energy_ev_per_atom": -2.425,
  "space_group": "No. 2",
  "cell": [[-4.440, 2.780, 0.056], [-5.301, -5.324, 0.175], [-1.979, -2.568, 7.400]],
  "species": ["Er", "Er", "Mg", "Cu", "Ge", "Ge", "Ge", "Ge", "O", "O", "O", "O", "O", "O", "O", "O", "O", "O", "O", "O"],
  "frac_coords": [[0.032, 0.776, 0.434], [0.968, 0.224, 0.566], [0.500, 0.000, 0.000], [0.000, 0.000, 0.000], [0.553, 0.835, 0.750], [0.447, 0.165, 0.250], [0.586, 0.595, 0.218], [0.414, 0.405, 0.782], [0.800, 0.925, 0.604], [0.200, 0.075, 0.396], [0.829, 0.558, 0.379], [0.171, 0.442, 0.621], [0.427, 0.669, 0.684], [0.573, 0.331, 0.316], [0.702, 0.724, 0.986], [0.702, 0.210, 0.799], [0.298, 0.790, 0.201], [0.713, 0.988, 0.216], [0.287, 0.012, 0.784], [0.298, 0.276, 0.014]]
}

---

[12]
{
  "formula": "Dy2MgS4",
  "functional": "PBE",
  "state": "optimized geometry",
  "magmom_total_mub_per_cell": 0.005,
  "e_above_lowest_polymorph_mev_per_atom": 59,
  "formation_energy_ev_per_atom": -2.110,
  "space_group": "No. 62",
  "cell": [[-1.197, -2.972, -2.130], [11.205, -5.563, 1.465], [-4.512, -6.159, 11.128]],
  "species": ["Dy", "Dy", "Dy", "Dy", "Dy", "Dy", "Dy", "Dy", "Mg", "Mg", "Mg", "Mg", "S", "S", "S", "S", "S", "S", "S", "S", "S", "S", "S", "S", "S", "S", "S", "S"],
  "frac_coords": [[0.250, 0.118, 0.075], [0.750, 0.882, 0.925], [0.750, 0.382, 0.575], [0.250, 0.618, 0.425], [0.250, 0.138, 0.705], [0.750, 0.862, 0.295], [0.750, 0.362, 0.205], [0.250, 0.638, 0.795], [0.750, 0.111, 0.453], [0.250, 0.889, 0.547], [0.250, 0.389, 0.953], [0.750, 0.611, 0.047], [0.750, 0.009, 0.615], [0.250, 0.991, 0.385], [0.250, 0.491, 0.115], [0.750, 0.509, 0.885], [0.250, 0.028, 0.884], [0.750, 0.972, 0.116], [0.750, 0.472, 0.384], [0.250, 0.528, 0.616], [0.250, 0.225, 0.248], [0.750, 0.775, 0.752], [0.750, 0.275, 0.748], [0.250, 0.725, 0.252], [0.750, 0.262, 0.016], [0.250, 0.738, 0.984], [0.250, 0.238, 0.516], [0.750, 0.762, 0.484]]
}